Record 1
20
Lattice="8.8785 0.0000 0.0000 0.0000 4.9022 0.0000 0.0000 2.7659 10.6898" Properties=species:S:1:pos:R:3 comment="SiH3I PBE relaxed" mass_density_g_cm3=2.3 dft_energy_ev_per_cell=-70.5 volume_a3_per_atom=23.26 pbc="T T T"
Si 8.2224 4.7146 7.5887
Si 3.7831 4.3365 8.4461
Si 0.6561 2.9535 3.1012
Si 5.0953 3.3316 2.2437
H 7.4675 3.8938 8.5727
H 3.0283 5.1572 7.4621
H 1.4110 3.7743 2.1172
H 5.8502 2.5109 3.2278
H 0.2409 3.8805 6.7468
H 4.6801 5.1705 9.2880
H 8.6376 3.7876 3.9431
H 4.1984 2.4976 1.4019
H 4.3674 4.4507 2.8980
H 8.8067 1.8345 2.4469
H 4.5110 3.2174 7.7919
H 0.0718 5.8336 8.2429
I 6.5420 5.7474 6.0774
I 2.1027 3.3037 9.9574
I 2.3365 1.9207 4.6125
I 6.7757 4.3644 0.7325



Record 2
6
Lattice="4.2813 0.0000 0.0000 0.0000 4.2813 0.0000 0.0000 0.0000 9.3938" Properties=species:S:1:pos:R:3 comment="SrHI PBE relaxed" mass_density_g_cm3=4.2 dft_energy_ev_per_cell=-20.3 volume_a3_per_atom=28.70 pbc="T T T"
Sr 0.0000 2.1407 1.3363
Sr 2.1407 0.0000 8.0575
H 2.1407 2.1407 0.0000
H 0.0000 0.0000 0.0000
I 0.0000 2.1407 6.4717
I 2.1407 0.0000 2.9221



Record 3
4
Lattice="-3.1214 -1.3865 0.3246 2.4213 -1.6287 -1.8042 2.0049 -3.2061 5.5848" Properties=species:S:1:pos:R:3 comment="InH PBE relaxed" mass_density_g_cm3=5.6 dft_energy_ev_per_cell=-10.4 m_tot_mub_per_cell=0.00 volume_a3_per_atom=17.19 pbc="T T T"
In 0.4174 -4.1718 4.3262
In 1.2626 -2.6495 0.8242
H -0.2084 -3.1710 2.5829
H 0.6368 -1.6487 -0.9191



Record 4
96
Lattice="-1.7150 -6.7073 -8.3495 4.1565 -6.8183 4.6236 -8.2740 -4.4435 5.2691" Properties=species:S:1:pos:R:3 comment="KInH8S2O12 PBE relaxed" mass_density_g_cm3=2.6 dft_energy_ev_per_cell=-520.6 m_tot_mub_per_cell=0.00 volume_a3_per_atom=10.99 pbc="T T T"
K -4.3228 -12.0267 4.1390
K -2.2126 -8.6918 -6.0183
K -0.0621 -11.9792 -3.5642
K -6.4112 -8.4965 1.9871
In 0.4358 -7.5928 1.3924
In -6.5348 -11.4189 -1.1471
In -3.1435 -9.6648 7.5616
In -2.0379 -5.7581 -2.8488
H -1.8259 -11.9860 -1.1620
H -4.1522 -6.5528 1.9961
H -1.2321 -5.5595 2.2864
H -4.3351 -11.3722 0.5482
H -1.1833 -14.8440 -1.8961
H -5.5002 -6.4539 -0.7045
H -1.3643 -6.7430 3.3590
H -4.1798 -10.0985 -0.4121
H -2.7651 -3.9643 2.3741
H -2.5454 -11.9636 1.7101
H 0.0572 -5.3507 -0.9480
H -6.3064 -14.2485 0.4620
H -2.6655 -4.3094 0.8627
H -3.0754 -13.3019 1.1258
H 1.8795 -9.7399 0.1280
H -6.9190 -5.1282 5.2755
H 1.0536 -8.5235 5.0692
H -6.4087 -7.5787 -1.2020
H -1.3774 -10.5371 5.5180
H -4.3837 -7.1532 -3.6277
H 1.0425 -8.9684 -1.0188
H -6.2522 -6.5652 5.5939
H -0.0261 -12.7219 0.0219
H -5.7177 -4.9005 1.9528
H -0.6528 -3.9112 -1.2317
H -5.4195 -14.9960 1.6071
H -3.6998 -8.8084 3.8546
H -2.2444 -9.5975 -2.8553
H -1.1402 -10.6862 -0.6735
H -4.4305 -6.2593 3.4910
H -3.3534 -9.1221 2.3971
H -2.9895 -10.8438 -3.3395
S -0.2362 -10.4567 2.9553
S -6.0760 -9.3888 -3.7480
S -2.5018 -7.7996 -0.2829
S -2.4774 -6.8325 5.9801
S 3.4393 -8.1386 2.8845
S -9.1317 -9.2827 -0.6593
S 0.5494 -7.8878 -3.3545
S -6.1410 -9.1395 6.0701
O 0.0174 -10.2682 4.4049
O -5.9272 -8.0035 -3.2383
O -1.2227 -11.5103 2.7220
O -5.4017 -9.5561 -5.0345
O -0.9541 -11.6306 -0.8593
O -4.8372 -6.1777 2.6027
O -1.0317 -7.4639 -0.1913
O -5.5011 -13.2440 -1.6749
O -4.4065 -13.0902 6.8569
O -1.6794 -5.8705 -6.5479
O 1.7052 -4.1912 2.0999
O -6.9033 -11.2971 2.5315
O -2.0444 -10.9527 6.1335
O -3.6815 -6.6000 -4.0719
O 1.4417 -8.8758 -0.0974
O -8.1040 -12.3389 -2.3996
O -2.1521 -4.3554 1.7007
O -3.3681 -12.3929 1.3623
O -0.4908 -4.8359 -1.6008
O -5.8441 -15.0982 0.6978
O 1.1904 -7.8669 5.7816
O -6.2368 -7.0281 -0.4117
O -3.9136 -11.4521 8.6293
O -1.3959 -4.4718 -4.5401
O 0.4908 -9.1353 -2.5747
O -6.1394 -8.1151 5.0126
O -0.7222 -2.3434 -0.6782
O -4.9122 -14.8513 3.1854
O 1.0670 -10.7528 2.2500
O -7.5436 -9.7359 -3.8433
O -3.1678 -7.6621 1.0176
O -3.2162 -12.4642 -2.1598
O -0.7087 -6.2918 2.7587
O -4.8605 -10.6479 0.0659
O -3.9167 -9.4361 3.1363
O -2.3359 -10.1763 -3.6388
O -2.7286 -7.0740 4.5431
O -2.6602 -9.1601 -0.8401
O 1.2152 -5.8262 0.3184
O -7.1913 -12.7045 0.5257
O -0.7212 -9.1597 2.3497
O -5.5091 -10.3653 -2.7434
O -4.7600 -9.7779 6.1486
O -0.8683 -7.3929 -3.6117
O -1.9629 -8.0964 6.6370
O -3.0779 -6.7763 -1.2394
O 2.0550 -7.5033 2.8121
O -7.7100 -9.7717 -0.4049



Record 5
76
Lattice="8.5184 0.0000 0.0000 0.0000 11.5936 0.0000 0.0000 4.4943 10.9384" Properties=species:S:1:pos:R:3 comment="K2InSi4HO11 PBE relaxed" mass_density_g_cm3=3.0 dft_energy_ev_per_cell=-521.5 m_tot_mub_per_cell=0.00 volume_a3_per_atom=14.21 pbc="T T T"
K 6.3888 13.2516 6.3765
K 2.1296 11.5134 0.2926
K 6.3888 9.2320 10.2720
K 6.3888 8.5622 5.9192
K 2.1296 7.5257 5.0192
K 2.1296 6.8560 0.6664
K 6.3888 4.5746 10.6458
K 2.1296 2.8363 4.5619
In 8.4679 9.2152 2.3259
In 4.3097 9.2152 2.3259
In 4.2087 6.8728 8.6125
In 0.0505 6.8728 8.6125
Si 7.9780 12.7366 9.8046
Si 4.7996 12.7366 9.8046
Si 7.9240 12.6132 2.7802
Si 4.8536 12.6132 2.7802
Si 3.7121 11.1192 5.1247
Si 0.5471 11.1192 5.1247
Si 3.7560 10.3634 8.0565
Si 0.5032 10.3634 8.0565
Si 8.0152 5.7246 2.8819
Si 4.7624 5.7246 2.8819
Si 7.9713 4.9687 5.8137
Si 4.8063 4.9687 5.8137
Si 3.6648 3.4748 8.1582
Si 0.5944 3.4748 8.1582
Si 3.7188 3.3513 1.1338
Si 0.5404 3.3513 1.1338
H 2.1296 10.0143 3.1617
H 2.1296 8.2486 8.1455
H 6.3888 7.8394 2.7929
H 6.3888 6.0736 7.7768
O 2.1296 14.4737 8.2503
O 8.0912 13.8318 8.5657
O 4.6864 13.8318 8.5657
O 8.2265 12.3546 4.3984
O 4.5511 12.3546 4.3984
O 6.3888 12.2938 9.8626
O 2.1296 11.6044 5.0458
O 8.1662 11.3202 1.8710
O 4.6114 11.3202 1.8710
O 4.0027 11.3551 9.3511
O 0.2565 11.3551 9.3511
O 0.0555 11.2111 6.7006
O 4.2037 11.2111 6.7006
O 2.1296 10.0712 7.9664
O 3.9766 9.6795 4.4824
O 0.2826 9.6795 4.4824
O 2.1296 9.5965 2.2776
O 8.2025 8.9975 8.1742
O 4.5751 8.9975 8.1742
O 6.3888 8.8197 2.7189
O 0.0715 8.8033 0.2203
O 4.1877 8.8033 0.2203
O 8.4469 7.2846 10.7181
O 4.3307 7.2846 10.7181
O 2.1296 7.2683 8.2195
O 3.9433 7.0905 2.7642
O 0.3159 7.0905 2.7642
O 6.3888 6.4915 8.6608
O 8.2358 6.4085 6.4560
O 4.5418 6.4085 6.4560
O 6.3888 6.0167 2.9720
O 8.4629 4.8768 4.2378
O 4.3147 4.8768 4.2378
O 8.2619 4.7329 1.5873
O 4.5157 4.7329 1.5873
O 3.9070 4.7677 9.0674
O 0.3522 4.7677 9.0674
O 6.3888 4.4835 5.8926
O 2.1296 3.7942 1.0758
O 3.9673 3.7334 6.5400
O 0.2919 3.7334 6.5400
O 3.8320 2.2562 2.3727
O 0.4272 2.2562 2.3727
O 6.3888 1.6143 2.6881



Record 6
28
Lattice="-0.4646 -7.4447 -3.7924 3.8248 1.1920 -2.8085 6.1524 -2.5105 4.1745" Properties=species:S:1:pos:R:3 comment="Li2InP2HO8 PBE relaxed" mass_density_g_cm3=3.4 dft_energy_ev_per_cell=-179.3 m_tot_mub_per_cell=0.00 volume_a3_per_atom=11.17 pbc="T T T"
Li 7.9408 -2.5091 1.4929
Li 2.9088 -3.5828 -0.0690
Li 6.4967 -6.8980 -3.2324
Li 1.6804 -4.5154 -3.0336
In 7.2188 -4.6991 -0.8953
In 2.5260 -0.3447 0.3636
P 0.3885 -2.4793 -1.5625
P 5.4945 -1.7160 -0.0919
P 4.1102 -5.5727 -1.5833
P 9.0353 -7.7080 -1.5894
H 4.2707 -3.2642 -3.0938
H 5.0224 -9.0170 -1.1247
O 1.2073 -1.2397 -1.1600
O 6.1315 -2.8332 -0.9622
O 3.3229 -6.8629 -1.9394
O 8.3642 -6.5798 -0.7857
O 4.8373 -2.5181 -3.5668
O 6.1300 -1.7070 1.3143
O 3.5503 -4.3706 -2.3726
O 4.5092 -8.9075 -0.2159
O 8.8656 -3.6301 0.1252
O 3.9482 -1.9237 -0.0499
O 5.6285 -5.8126 -1.8535
O 0.5817 -6.1805 -3.0852
O 6.7488 -5.3538 1.1278
O 5.7754 -0.3301 -0.7398
O 3.9353 -5.2593 -0.0699
O 2.5656 -6.5861 -5.1725